# 1
Computed, not measured: a geometry-optimized MnAl2Te4 structure at the PBE-GGA level of DFT.

## Properties
Calculated volume   452.18 Å³ per cell
Largest piezoelectric modulus   0.06 C/m²
Mass density   4.55 g cm⁻³
Calculated total energy   -31.7 eV/f.u.

Geometry as CIF:
```
data_MnAl2Te4
_chemical_formula_sum 'Mn2 Al4 Te8'
_symmetry_space_group_name_H-M 'P 1'
_symmetry_Int_Tables_number 1
_symmetry_space_group_name_Hall 'P 1'
_cell_length_a 5.9890
_cell_length_b 5.9890
_cell_length_c 12.6067
_cell_angle_alpha 90.00
_cell_angle_beta 90.00
_cell_angle_gamma 90.00
loop_
_atom_site_label
_atom_site_type_symbol
_atom_site_fract_x
_atom_site_fract_y
_atom_site_fract_z
_atom_site_occupancy
Mn1 Mn 0.0000 0.0000 0.0000 1
Mn2 Mn 0.5000 0.5000 0.5000 1
Al1 Al 0.0000 0.5000 0.2500 1
Al2 Al 0.0000 0.5000 0.7500 1
Al3 Al 0.5000 0.0000 0.2500 1
Al4 Al 0.5000 0.0000 0.7500 1
Te1 Te 0.2331 0.2331 0.3781 1
Te2 Te 0.2331 0.7669 0.6219 1
Te3 Te 0.2669 0.2669 0.8781 1
Te4 Te 0.2669 0.7331 0.1219 1
Te5 Te 0.7331 0.2669 0.1219 1
Te6 Te 0.7331 0.7331 0.8781 1
Te7 Te 0.7669 0.2331 0.6219 1
Te8 Te 0.7669 0.7669 0.3781 1
```

---

# 2
Computed, not measured: a geometry-optimized Re2H4O9 structure at the PBE-GGA level of DFT.

## Properties
Calculated volume   364.64 Å³ per cell
Largest piezoelectric modulus   0.51 C/m²
Mass density   4.74 g cm⁻³
Calculated total energy   -101.2 eV/f.u.

Geometry as CIF:
```
data_Re2H4O9
_chemical_formula_sum 'Re4 H8 O18'
_symmetry_space_group_name_H-M 'P 1'
_symmetry_Int_Tables_number 1
_symmetry_space_group_name_Hall 'P 1'
_cell_length_a 4.9962
_cell_length_b 8.9023
_cell_length_c 8.2969
_cell_angle_alpha 90.00
_cell_angle_beta 98.84
_cell_angle_gamma 90.00
loop_
_atom_site_label
_atom_site_type_symbol
_atom_site_fract_x
_atom_site_fract_y
_atom_site_fract_z
_atom_site_occupancy
Re1 Re 0.0500 0.0000 0.0500 1
Re2 Re 0.3887 0.4942 0.3804 1
Re3 Re 0.6113 0.9942 0.6196 1
Re4 Re 0.9500 0.5000 0.9500 1
H1 H 0.0391 0.7202 0.4736 1
H2 H 0.1564 0.0017 0.4435 1
H3 H 0.4815 0.2669 0.2127 1
H4 H 0.4848 0.7284 0.2081 1
H5 H 0.5152 0.2284 0.7919 1
H6 H 0.5185 0.7669 0.7873 1
H7 H 0.8436 0.5017 0.5565 1
H8 H 0.9609 0.2202 0.5264 1
O1 O 0.1337 0.5003 0.1528 1
O2 O 0.1659 0.3598 0.4396 1
O3 O 0.1696 0.4990 0.8074 1
O4 O 0.1815 0.6484 0.4528 1
O5 O 0.2522 0.8403 0.0816 1
O6 O 0.2548 0.1589 0.0840 1
O7 O 0.3490 0.9917 0.4328 1
O8 O 0.4226 0.8528 0.7257 1
O9 O 0.4262 0.1472 0.7212 1
O10 O 0.5738 0.6472 0.2788 1
O11 O 0.5774 0.3528 0.2743 1
O12 O 0.6510 0.4917 0.5672 1
O13 O 0.7452 0.6589 0.9160 1
O14 O 0.7478 0.3403 0.9184 1
O15 O 0.8185 0.1484 0.5472 1
O16 O 0.8304 0.9990 0.1926 1
O17 O 0.8341 0.8598 0.5604 1
O18 O 0.8663 0.0003 0.8472 1
```

---

# 3
Computed, not measured: a geometry-optimized PrGa3Ni structure at the PBE-GGA level of DFT.

## Properties
Calculated volume   184.15 Å³ per cell
Mass density   7.37 g cm⁻³
Calculated total energy   -22.3 eV/f.u.

Geometry as CIF:
```
data_PrGa3Ni
_chemical_formula_sum 'Pr2 Ga6 Ni2'
_symmetry_space_group_name_H-M 'P 1'
_symmetry_Int_Tables_number 1
_symmetry_space_group_name_Hall 'P 1'
_cell_length_a 4.1840
_cell_length_b 4.1840
_cell_length_c 10.5193
_cell_angle_alpha 90.00
_cell_angle_beta 90.00
_cell_angle_gamma 90.00
loop_
_atom_site_label
_atom_site_type_symbol
_atom_site_fract_x
_atom_site_fract_y
_atom_site_fract_z
_atom_site_occupancy
Pr1 Pr 0.0000 0.0000 0.0000 1
Pr2 Pr 0.5000 0.5000 0.5000 1
Ga1 Ga 0.0000 0.0000 0.3801 1
Ga2 Ga 0.0000 0.0000 0.6199 1
Ga3 Ga 0.0000 0.5000 0.2500 1
Ga4 Ga 0.5000 0.0000 0.7500 1
Ga5 Ga 0.5000 0.5000 0.1199 1
Ga6 Ga 0.5000 0.5000 0.8801 1
Ni1 Ni 0.0000 0.5000 0.7500 1
Ni2 Ni 0.5000 0.0000 0.2500 1
```

---

# 4
Computed, not measured: a geometry-optimized NaPu structure at the PBE-GGA level of DFT.

## Properties
Calculated volume   390.22 Å³ per cell
Mass density   6.82 g cm⁻³
Calculated total energy   -14.4 eV/f.u.

Geometry as CIF:
```
data_NaPu
_chemical_formula_sum 'Na6 Pu6'
_symmetry_space_group_name_H-M 'P 1'
_symmetry_Int_Tables_number 1
_symmetry_space_group_name_Hall 'P 1'
_cell_length_a 7.7683
_cell_length_b 7.7683
_cell_length_c 7.7683
_cell_angle_alpha 107.02
_cell_angle_beta 107.02
_cell_angle_gamma 107.02
loop_
_atom_site_label
_atom_site_type_symbol
_atom_site_fract_x
_atom_site_fract_y
_atom_site_fract_z
_atom_site_occupancy
Na1 Na 0.1670 0.4026 0.4564 1
Na2 Na 0.4026 0.4564 0.1670 1
Na3 Na 0.4564 0.1670 0.4026 1
Na4 Na 0.5436 0.8330 0.5974 1
Na5 Na 0.5974 0.5436 0.8330 1
Na6 Na 0.8330 0.5974 0.5436 1
Pu1 Pu 0.0468 0.6962 0.2066 1
Pu2 Pu 0.2066 0.0468 0.6962 1
Pu3 Pu 0.3038 0.7934 0.9532 1
Pu4 Pu 0.6962 0.2066 0.0468 1
Pu5 Pu 0.7934 0.9532 0.3038 1
Pu6 Pu 0.9532 0.3038 0.7934 1
```

---

# 5
Computed, not measured: a geometry-optimized Nb3Ni structure at the PBE-GGA level of DFT.

## Properties
Calculated volume   66.22 Å³ per cell
Mass density   8.46 g cm⁻³
Calculated total energy   -35.7 eV/f.u.

Geometry as CIF:
```
data_Nb3Ni
_chemical_formula_sum 'Nb3 Ni1'
_symmetry_space_group_name_H-M 'P 1'
_symmetry_Int_Tables_number 1
_symmetry_space_group_name_Hall 'P 1'
_cell_length_a 4.0457
_cell_length_b 4.0457
_cell_length_c 4.0457
_cell_angle_alpha 90.00
_cell_angle_beta 90.00
_cell_angle_gamma 90.00
loop_
_atom_site_label
_atom_site_type_symbol
_atom_site_fract_x
_atom_site_fract_y
_atom_site_fract_z
_atom_site_occupancy
Nb1 Nb 0.0000 0.0000 0.5000 1
Nb2 Nb 0.0000 0.5000 0.0000 1
Nb3 Nb 0.5000 0.0000 0.0000 1
Ni1 Ni 0.5000 0.5000 0.5000 1
```

---

# 6
Computed, not measured: a geometry-optimized Mg3P4H28N2O24 structure at the PBE-GGA level of DFT.

## Properties
Calculated volume   532.70 Å³ per cell
Mass density   1.99 g cm⁻³
Calculated total energy   -345.5 eV/f.u.

Geometry as CIF:
```
data_Mg3P4H28N2O24
_chemical_formula_sum 'Mg3 P4 H28 N2 O24'
_symmetry_space_group_name_H-M 'P 1'
_symmetry_Int_Tables_number 1
_symmetry_space_group_name_Hall 'P 1'
_cell_length_a 6.7611
_cell_length_b 7.7436
_cell_length_c 10.7604
_cell_angle_alpha 104.65
_cell_angle_beta 96.93
_cell_angle_gamma 97.92
loop_
_atom_site_label
_atom_site_type_symbol
_atom_site_fract_x
_atom_site_fract_y
_atom_site_fract_z
_atom_site_occupancy
Mg1 Mg 0.0000 0.0000 0.0000 1
Mg2 Mg 0.3401 0.7591 0.5969 1
Mg3 Mg 0.6599 0.2409 0.4031 1
P1 P 0.2044 0.3048 0.4727 1
P2 P 0.2491 0.6657 0.8720 1
P3 P 0.7509 0.3343 0.1280 1
P4 P 0.7956 0.6952 0.5273 1
H1 H 0.0132 0.7759 0.7171 1
H2 H 0.1016 0.8130 0.4099 1
H3 H 0.1559 0.3874 0.7345 1
H4 H 0.1783 0.2721 0.9066 1
H5 H 0.1783 0.4382 0.1813 1
H6 H 0.2693 0.0546 0.2317 1
H7 H 0.2929 0.8847 0.1152 1
H8 H 0.2957 0.9585 0.4157 1
H9 H 0.3019 0.1150 0.6553 1
H10 H 0.3073 0.6285 0.2895 1
H11 H 0.3208 0.0567 0.7835 1
H12 H 0.3431 0.5829 0.1315 1
H13 H 0.3732 0.2189 0.9739 1
H14 H 0.4291 0.4524 0.2278 1
H15 H 0.5709 0.5476 0.7722 1
H16 H 0.6268 0.7811 0.0261 1
H17 H 0.6569 0.4171 0.8685 1
H18 H 0.6792 0.9433 0.2165 1
H19 H 0.6927 0.3715 0.7105 1
H20 H 0.6981 0.8850 0.3447 1
H21 H 0.7043 0.0415 0.5843 1
H22 H 0.7071 0.1153 0.8848 1
H23 H 0.7307 0.9454 0.7683 1
H24 H 0.8217 0.5618 0.8187 1
H25 H 0.8217 0.7279 0.0934 1
H26 H 0.8441 0.6126 0.2655 1
H27 H 0.8984 0.1870 0.5901 1
H28 H 0.9868 0.2241 0.2829 1
N1 N 0.3161 0.5262 0.2077 1
N2 N 0.6839 0.4738 0.7923 1
O1 O 0.0133 0.7711 0.6222 1
O2 O 0.0685 0.7702 0.8710 1
O3 O 0.1499 0.4531 0.8302 1
O4 O 0.1623 0.2616 0.6007 1
O5 O 0.2024 0.9710 0.1472 1
O6 O 0.2256 0.1732 0.9385 1
O7 O 0.2523 0.8332 0.4229 1
O8 O 0.2648 0.5036 0.4833 1
O9 O 0.3521 0.1873 0.4082 1
O10 O 0.3716 0.0360 0.6997 1
O11 O 0.3717 0.7094 0.0092 1
O12 O 0.3821 0.6946 0.7706 1
O13 O 0.6179 0.3054 0.2294 1
O14 O 0.6283 0.2906 0.9908 1
O15 O 0.6284 0.9640 0.3003 1
O16 O 0.6479 0.8127 0.5918 1
O17 O 0.7352 0.4964 0.5167 1
O18 O 0.7477 0.1668 0.5771 1
O19 O 0.7744 0.8268 0.0615 1
O20 O 0.7976 0.0290 0.8528 1
O21 O 0.8377 0.7384 0.3993 1
O22 O 0.8501 0.5469 0.1698 1
O23 O 0.9315 0.2298 0.1290 1
O24 O 0.9867 0.2289 0.3778 1
```